Entry 1:
Compound: HgS2N2O6
Source: the Materials Project
Functional: GGA-PBE
Structure: relaxed

The structure in POSCAR format:
```
HgS2N2O6
1.0
6.924 0.000 0.000
0.000 10.155 0.000
0.000 0.000 15.085
Hg S N O
4 8 8 24
Direct
0.021 0.224 0.368
0.479 0.776 0.868
0.521 0.276 0.632
0.979 0.724 0.132
0.006 0.847 0.313
0.035 0.141 0.562
0.465 0.859 0.062
0.494 0.153 0.813
0.506 0.653 0.687
0.535 0.359 0.438
0.965 0.641 0.938
0.994 0.347 0.187
0.037 0.926 0.728
0.047 0.609 0.532
0.453 0.391 0.032
0.463 0.074 0.228
0.537 0.574 0.272
0.547 0.891 0.468
0.953 0.109 0.968
0.963 0.426 0.772
0.050 0.275 0.593
0.081 0.467 0.219
0.114 0.247 0.147
0.151 0.578 0.941
0.208 0.067 0.545
0.213 0.835 0.315
0.287 0.165 0.815
0.292 0.933 0.045
0.349 0.422 0.441
0.386 0.753 0.647
0.419 0.533 0.719
0.450 0.725 0.093
0.550 0.225 0.407
0.581 0.033 0.781
0.614 0.253 0.853
0.651 0.922 0.059
0.708 0.433 0.455
0.713 0.665 0.685
0.787 0.335 0.185
0.792 0.567 0.955
0.849 0.078 0.559
0.886 0.747 0.353
0.919 0.967 0.281
0.950 0.775 0.907
```

The volume comes out at 24.1 A^3/atom. For the size of the total moment, the calculation gives 6.00 μB per formula unit. As for the formation enthalpy at 0 K: -1.7 eV/f.u. The total energy is -4.771 eV/atom.

---

Entry 2:
Compound: Na5MgReO6
Source: the Materials Project
Functional: GGA-PBE
Structure: relaxed

The structure in POSCAR format:
```
Na5MgReO6
1.0
3.051 -5.208 0.000
3.051 5.208 0.000
-2.563 0.000 5.412
Na Mg Re O
5 1 1 6
Direct
0.000 0.000 0.000
0.348 0.930 0.368
0.397 0.714 0.880
0.714 0.397 0.880
0.930 0.348 0.368
0.007 0.007 0.560
0.537 0.537 0.373
0.215 0.492 0.166
0.325 0.325 0.570
0.492 0.215 0.166
0.667 0.920 0.629
0.771 0.771 0.206
0.920 0.667 0.629
```

The volume comes out at 13.2 A^3/atom. For the size of the total moment, the calculation gives 2.00 μB per formula unit. As for the formation enthalpy at 0 K: -24.5 eV/f.u. The total energy is -5.437 eV/atom.

---

Entry 3:
Compound: Tb3Lu
Source: the Materials Project
Functional: GGA-PBE
Structure: relaxed

The structure in POSCAR format:
```
Tb3Lu
1.0
4.992 0.000 0.000
0.000 4.992 0.000
0.000 0.000 4.992
Tb Lu
3 1
Direct
0.000 0.000 0.500
0.000 0.500 0.000
0.500 0.000 0.000
0.500 0.500 0.500
```

The volume comes out at 31.1 A^3/atom. As for the formation enthalpy at 0 K: 0.1 eV/f.u. The total energy is -4.583 eV/atom.

---

Entry 4:
Compound: Th3TlF13
Source: the Materials Project
Functional: GGA-PBE
Structure: relaxed

The structure in POSCAR format:
```
Th3TlF13
1.0
8.282 0.000 0.000
0.000 7.538 0.000
0.000 0.000 8.737
Th Tl F
6 2 26
Direct
0.000 0.107 0.000
0.000 0.893 0.500
0.252 0.398 0.336
0.252 0.602 0.836
0.748 0.398 0.336
0.748 0.602 0.836
0.500 0.102 0.697
0.500 0.898 0.197
0.000 0.032 0.736
0.000 0.359 0.181
0.000 0.406 0.457
0.000 0.594 0.957
0.000 0.641 0.681
0.000 0.968 0.236
0.171 0.306 0.866
0.171 0.694 0.366
0.193 0.118 0.456
0.193 0.882 0.956
0.253 0.176 0.143
0.253 0.824 0.643
0.301 0.454 0.597
0.301 0.546 0.097
0.500 0.232 0.367
0.500 0.439 0.846
0.500 0.561 0.346
0.500 0.768 0.867
0.699 0.454 0.597
0.699 0.546 0.097
0.747 0.176 0.143
0.747 0.824 0.643
0.807 0.118 0.456
0.807 0.882 0.956
0.829 0.306 0.866
0.829 0.694 0.366
```

The volume comes out at 16.0 A^3/atom. As for the formation enthalpy at 0 K: -71.7 eV/f.u. The total energy is -6.776 eV/atom.

---

Entry 5:
Compound: La8ScTi6NbO28
Source: the Materials Project
Functional: GGA-PBE
Structure: relaxed

The structure in POSCAR format:
```
La8ScTi6NbO28
1.0
5.591 0.000 0.000
0.000 7.902 0.000
-0.264 0.000 26.591
La Sc Ti Nb O
16 2 12 2 56
Direct
0.000 0.120 0.000
0.000 0.880 0.500
0.048 0.366 0.506
0.048 0.634 0.006
0.489 0.126 0.845
0.489 0.874 0.345
0.497 0.370 0.337
0.497 0.372 0.093
0.497 0.628 0.593
0.497 0.630 0.837
0.544 0.125 0.580
0.544 0.875 0.080
0.988 0.372 0.234
0.988 0.628 0.734
0.995 0.127 0.741
0.995 0.873 0.241
0.505 0.125 0.449
0.505 0.875 0.949
0.000 0.123 0.346
0.000 0.877 0.846
0.009 0.131 0.131
0.009 0.869 0.631
0.495 0.124 0.232
0.495 0.876 0.732
0.498 0.378 0.733
0.498 0.622 0.233
0.999 0.365 0.633
0.999 0.374 0.847
0.999 0.626 0.347
0.999 0.635 0.133
0.508 0.379 0.951
0.508 0.621 0.451
0.049 0.369 0.339
0.049 0.631 0.839
0.052 0.369 0.139
0.052 0.631 0.639
0.188 0.099 0.196
0.188 0.901 0.696
0.193 0.361 0.697
0.193 0.639 0.197
0.204 0.329 0.900
0.204 0.671 0.400
0.216 0.076 0.396
0.216 0.924 0.896
0.253 0.081 0.295
0.253 0.919 0.795
0.257 0.348 0.798
0.257 0.652 0.298
0.258 0.364 0.587
0.258 0.636 0.087
0.262 0.111 0.088
0.262 0.889 0.588
0.272 0.110 0.507
0.272 0.890 0.007
0.286 0.362 0.009
0.286 0.638 0.509
0.418 0.368 0.244
0.418 0.381 0.441
0.418 0.619 0.941
0.418 0.632 0.744
0.542 0.133 0.740
0.542 0.867 0.240
0.572 0.134 0.942
0.572 0.866 0.442
0.695 0.404 0.884
0.695 0.596 0.384
0.698 0.163 0.179
0.698 0.837 0.679
0.705 0.145 0.381
0.705 0.855 0.881
0.711 0.420 0.682
0.711 0.580 0.182
0.751 0.420 0.784
0.751 0.580 0.284
0.755 0.152 0.281
0.755 0.848 0.781
0.769 0.138 0.503
0.769 0.862 0.003
0.773 0.394 0.580
0.773 0.606 0.080
0.776 0.140 0.076
0.776 0.860 0.576
0.777 0.398 0.995
0.777 0.602 0.495
0.917 0.134 0.833
0.917 0.866 0.333
0.935 0.130 0.639
0.935 0.870 0.139
```

The volume comes out at 13.3 A^3/atom. For the size of the total moment, the calculation gives 0.00 μB per formula unit. As for the formation enthalpy at 0 K: -165.5 eV/f.u. The total energy is -8.820 eV/atom.

---

Entry 6:
Compound: RbGd3F10
Source: the Materials Project
Functional: GGA-PBE
Structure: relaxed

The structure in POSCAR format:
```
RbGd3F10
1.0
0.000 5.960 5.960
5.960 0.000 5.960
5.960 5.960 0.000
Rb Gd F
2 6 20
Direct
0.250 0.250 0.250
0.750 0.750 0.750
0.240 0.240 0.760
0.240 0.760 0.240
0.240 0.760 0.760
0.760 0.240 0.240
0.760 0.240 0.760
0.760 0.760 0.240
0.111 0.111 0.111
0.111 0.111 0.666
0.111 0.666 0.111
0.170 0.500 0.500
0.170 0.500 0.830
0.170 0.830 0.500
0.334 0.889 0.889
0.500 0.170 0.500
0.500 0.170 0.830
0.500 0.500 0.170
0.500 0.500 0.830
0.500 0.830 0.170
0.500 0.830 0.500
0.666 0.111 0.111
0.830 0.170 0.500
0.830 0.500 0.170
0.830 0.500 0.500
0.889 0.334 0.889
0.889 0.889 0.334
0.889 0.889 0.889
```

The volume comes out at 15.1 A^3/atom. As for the formation enthalpy at 0 K: -59.1 eV/f.u. The total energy is -8.348 eV/atom.

---

Entry 7:
Compound: LaFe2Si2
Source: the Materials Project
Functional: GGA-PBE
Structure: relaxed

The structure in POSCAR format:
```
LaFe2Si2
1.0
4.059 0.000 0.000
0.000 4.059 0.000
0.000 0.000 9.933
La Fe Si
2 4 4
Direct
0.000 0.000 0.000
0.500 0.500 0.500
0.000 0.500 0.250
0.000 0.500 0.750
0.500 0.000 0.250
0.500 0.000 0.750
0.000 0.000 0.356
0.000 0.000 0.644
0.500 0.500 0.144
0.500 0.500 0.856
```

The volume comes out at 16.4 A^3/atom. As for the formation enthalpy at 0 K: -2.9 eV/f.u. The total energy is -7.158 eV/atom.

---

Entry 8:
Compound: Sr4Hf3TiO12
Source: the Materials Project
Functional: GGA-PBE
Structure: relaxed

The structure in POSCAR format:
```
Sr4Hf3TiO12
1.0
5.732 0.000 0.000
0.002 5.738 0.000
0.003 0.005 8.233
Sr Hf Ti O
4 3 1 12
Direct
0.006 0.004 0.243
0.492 0.503 0.757
0.508 0.497 0.243
0.994 0.996 0.757
0.000 0.500 0.500
0.500 0.000 0.000
0.500 0.000 0.500
0.000 0.500 0.000
0.001 0.476 0.244
0.193 0.194 0.512
0.220 0.232 0.986
0.268 0.720 0.010
0.307 0.693 0.490
0.496 0.027 0.249
0.504 0.973 0.751
0.693 0.307 0.510
0.732 0.280 0.990
0.780 0.768 0.014
0.807 0.806 0.488
0.999 0.524 0.756
```

The volume comes out at 13.5 A^3/atom. For the size of the total moment, the calculation gives 0.00 μB per formula unit. As for the formation enthalpy at 0 K: -74.6 eV/f.u. The total energy is -8.515 eV/atom.

---

Entry 9:
Compound: AlH12C4NF4
Source: the Materials Project
Functional: GGA-PBE
Structure: relaxed

The structure in POSCAR format:
```
AlH12C4NF4
1.0
6.302 0.000 0.000
0.049 6.342 0.000
0.055 0.001 6.347
Al H C N F
1 12 4 1 4
Direct
0.000 0.000 0.000
0.264 0.456 0.725
0.264 0.725 0.456
0.266 0.255 0.523
0.266 0.523 0.256
0.467 0.255 0.723
0.467 0.724 0.254
0.532 0.724 0.724
0.534 0.255 0.256
0.734 0.522 0.723
0.734 0.723 0.522
0.735 0.455 0.254
0.736 0.254 0.455
0.363 0.353 0.626
0.363 0.627 0.353
0.636 0.626 0.626
0.638 0.352 0.353
0.500 0.490 0.490
0.143 0.131 0.185
0.173 0.853 0.853
0.817 0.843 0.120
0.867 0.174 0.844
```

The volume comes out at 11.5 A^3/atom. For the size of the total moment, the calculation gives 0.00 μB per formula unit. As for the formation enthalpy at 0 K: -21.8 eV/f.u. The total energy is -5.333 eV/atom.

---

Entry 10:
Compound: Ca4Al2P2H10O13F8
Source: the Materials Project
Functional: GGA-PBE
Structure: relaxed

The structure in POSCAR format:
```
Ca4Al2P2H10O13F8
1.0
6.266 0.000 0.000
0.244 9.937 0.000
2.887 0.009 13.286
Ca Al P H O F
8 4 4 20 26 16
Direct
0.011 0.201 0.145
0.129 0.386 0.897
0.331 0.902 0.606
0.457 0.279 0.632
0.543 0.721 0.368
0.669 0.098 0.394
0.871 0.614 0.103
0.989 0.799 0.855
0.204 0.559 0.624
0.301 0.054 0.878
0.699 0.946 0.122
0.796 0.441 0.376
0.222 0.881 0.078
0.287 0.388 0.419
0.713 0.612 0.581
0.778 0.119 0.922
0.016 0.175 0.628
0.146 0.623 0.330
0.162 0.018 0.287
0.174 0.154 0.344
0.179 0.155 0.522
0.213 0.718 0.236
0.400 0.609 0.098
0.405 0.268 0.221
0.464 0.455 0.117
0.492 0.218 0.111
0.508 0.782 0.889
0.536 0.545 0.883
0.595 0.732 0.779
0.600 0.391 0.902
0.787 0.282 0.764
0.821 0.845 0.478
0.826 0.846 0.656
0.838 0.982 0.713
0.854 0.377 0.670
0.984 0.825 0.372
0.007 0.962 0.121
0.080 0.101 0.306
0.099 0.436 0.370
0.154 0.129 0.594
0.192 0.731 0.108
0.207 0.713 0.310
0.234 0.410 0.535
0.274 0.892 0.960
0.333 0.234 0.402
0.382 0.279 0.152
0.400 0.944 0.124
0.480 0.453 0.893
0.491 0.470 0.372
0.509 0.530 0.628
0.520 0.547 0.107
0.600 0.056 0.876
0.618 0.721 0.848
0.667 0.766 0.598
0.726 0.108 0.040
0.766 0.590 0.465
0.793 0.287 0.690
0.808 0.269 0.892
0.846 0.871 0.406
0.901 0.564 0.630
0.920 0.899 0.694
0.993 0.038 0.879
0.005 0.599 0.930
0.161 0.433 0.727
0.190 0.696 0.714
0.228 0.176 0.981
0.271 0.689 0.525
0.319 0.200 0.793
0.340 0.937 0.772
0.413 0.927 0.433
0.587 0.073 0.567
0.660 0.063 0.228
0.681 0.800 0.207
0.729 0.311 0.475
0.772 0.824 0.019
0.810 0.304 0.286
0.839 0.567 0.273
0.995 0.401 0.070
```

The volume comes out at 10.6 A^3/atom. For the size of the total moment, the calculation gives 0.00 μB per formula unit. As for the formation enthalpy at 0 K: -106.6 eV/f.u. The total energy is -5.996 eV/atom.

---

Q: Among the records above, which one has the lowest volume?
A: Ca4Al2P2H10O13F8

---

Q: Which of these has the highest formation enthalpy at 0 K?
A: Tb3Lu

---

Q: Which value of formation enthalpy at 0 K does entry 1 give?
A: -1.7 eV/f.u.